Record 1
Here is a relaxed structure of NdDy3 from Materials Project. Energies are from PBE.

```
NdDy3
1.0
-6.9542 -1.4326 1.6252
4.3068 -5.2890 -2.5559
1.5302 -1.3452 5.3622
Dy Nd
6 2
Cartesian
2.8278 -4.9878 -0.5242
-0.4396 -2.3569 4.1364
0.6569 -2.3218 0.7642
-0.6777 -5.7099 0.2950
-3.9450 -3.0790 4.9556
-1.7741 -5.7450 3.6673
1.7008 -5.0125 2.8594
-2.8180 -3.0543 1.5720
```

Calculated formation energy in eV/atom: 0.021
Raw total energy in eV per atom: -4.6261
Relative energy among the computed polymorphs in meV/atom: 2


Record 2
Here is a relaxed structure of GdPPd from Materials Project. Energies are from PBE.

```
GdPPd
1.0
-3.1185 -0.2852 2.8065
0.1931 -2.7083 -3.2110
4.2192 -4.6921 4.2113
Pd P Gd
2 2 2
Cartesian
0.1440 -3.0737 -0.1523
1.1497 -4.6120 3.9592
-0.9598 -2.2660 1.8535
2.2536 -5.4197 1.9533
0.0000 0.0000 0.0000
2.1096 -2.3461 2.1057
```

Calculated formation energy in eV/atom: -1.257
Raw total energy in eV per atom: -9.4802


Record 3
Here is a relaxed structure of Ca2BiN3 from Materials Project. Energies are from PBE.

```
Ca2BiN3
1.0
6.5715 -0.0257 0.0000
10.4666 5.2672 0.0000
0.0000 0.0000 11.6734
N Ca Bi
12 8 4
Cartesian
8.8789 4.4682 0.0629
4.2172 0.4559 2.9184
5.9170 2.9777 1.6804
4.5496 2.2895 9.9930
6.8210 3.4326 5.8997
0.6837 0.3441 4.1563
1.5877 0.7990 11.6105
7.5877 2.1520 8.7551
9.7829 4.9231 7.5172
9.4505 3.0895 2.9184
12.8210 4.7856 8.7551
3.6456 1.8346 5.7738
4.9714 2.5018 7.5501
1.3125 0.6605 6.7928
3.9208 1.9731 0.9561
9.1541 4.6067 4.8806
5.4952 2.7654 4.1234
10.2047 5.1354 9.9601
0.2619 0.1318 1.7133
6.5458 3.2941 10.7173
2.6656 1.3414 9.8817
2.5677 1.2922 4.0450
7.8989 3.9750 7.6285
7.8010 3.9258 1.7918
```

Calculated formation energy in eV/atom: -0.253
Energy with MP2020 corrections in eV for the cell shown: -137.715
Raw total energy in eV per atom: -5.5576


Record 4
Here is a relaxed structure of NaBC4N4 from Materials Project. Energies are from PBE.

```
NaBC4N4
1.0
0.0000 5.9386 5.9386
5.9386 0.0000 5.9386
5.9386 5.9386 0.0000
N B Na C
8 2 2 8
Cartesian
4.3498 7.5273 7.5273
7.3191 10.4966 7.3191
7.5273 4.3498 7.5273
10.4966 7.3191 7.3191
4.3498 4.3498 4.3498
7.5273 7.5273 4.3498
7.3191 7.3191 10.4966
10.4966 10.4966 10.4966
5.9386 5.9386 5.9386
8.9078 8.9078 8.9078
2.9693 2.9693 2.9693
0.0000 0.0000 0.0000
6.8555 6.8555 5.0216
9.8248 7.9909 7.9909
7.9909 7.9909 9.8248
6.8555 5.0216 6.8555
5.0216 6.8555 6.8555
5.0216 5.0216 5.0216
7.9909 9.8248 7.9909
9.8248 9.8248 9.8248
```

Calculated formation energy in eV/atom: -0.124
Energy with MP2020 corrections in eV for the cell shown: -158.996
Raw total energy in eV per atom: -7.8054


Record 5
Here is a relaxed structure of Zn2Bi3O8 from Materials Project. Energies are from PBE.

```
Zn2Bi3O8
1.0
-0.2070 4.6480 4.9304
-0.0725 -6.5976 1.5562
9.6047 -0.0085 0.4112
O Bi Zn
16 6 4
Cartesian
1.1456 2.6896 4.4001
0.9608 -2.8500 2.7271
8.3205 -0.8328 3.6505
1.2445 0.4684 2.0439
5.9368 -2.4247 4.7621
3.6169 -3.2661 1.0866
8.3538 2.2028 2.9345
3.5217 -1.1276 3.3551
3.4020 -0.0030 0.1457
1.1110 -0.4632 5.1438
6.0703 -1.4930 1.6623
8.2044 -0.0073 0.3513
6.0357 -4.6458 2.4060
8.2252 1.3058 5.9190
3.4883 -4.1632 4.0712
5.7183 0.8943 4.0575
2.2309 -4.7341 2.2156
6.9070 -0.5380 5.4576
7.0473 0.4413 2.1992
2.1269 -2.3993 4.6922
2.2673 -1.4200 1.4338
6.9434 2.7761 4.6758
0.2257 0.8991 3.8223
8.5465 -2.8567 3.0519
5.0730 -2.8537 2.9032
3.6993 0.8960 3.9710
```

Calculated formation energy in eV/atom: -1.397
Energy with MP2020 corrections in eV for the cell shown: -143.856
Raw total energy in eV per atom: -5.1101
Relative energy among the computed polymorphs in meV/atom: 41


Record 6
Here is a relaxed structure of Na2ScAuF6 from Materials Project. Energies are from PBE.

```
Na2ScAuF6
1.0
0.0000 4.4503 4.4503
4.4503 0.0000 4.4503
4.4503 4.4503 0.0000
Na F Sc Au
2 6 1 1
Cartesian
6.6755 6.6755 6.6755
2.2252 2.2252 2.2252
4.4503 6.8845 4.4503
2.0162 4.4503 4.4503
4.4503 4.4503 2.0162
4.4503 2.0162 4.4503
6.8845 4.4503 4.4503
4.4503 4.4503 6.8845
0.0000 0.0000 0.0000
4.4503 4.4503 4.4503
```

Calculated formation energy in eV/atom: -2.804
Energy with MP2020 corrections in eV for the cell shown: -51.784
Raw total energy in eV per atom: -4.9012


Record 7
Here is a relaxed structure of SrH6C6S2N2O7 from Materials Project. Energies are from PBE.

```
SrH6C6S2N2O7
1.0
4.0351 4.1963 3.8259
-4.8227 5.6788 -2.0713
-13.3877 -4.4423 18.9922
O S C Sr N H
28 8 24 4 8 24
Cartesian
-11.8172 -0.4166 13.4033
-10.4918 4.6788 17.1106
-10.2415 0.8010 18.3476
-4.8949 5.7417 8.5379
-8.1475 0.5477 13.9805
-3.6835 0.7541 3.6362
-2.8569 2.4571 7.2387
-12.6900 0.3569 17.2437
-8.4065 1.8904 19.1231
-7.1412 1.7705 6.7516
-10.0454 1.6000 15.6648
-11.3184 2.9758 13.5081
-3.9337 4.6319 2.3992
-12.3234 3.5140 16.4686
-7.0341 3.6623 13.9952
-1.8519 1.9189 4.2782
-5.8957 0.4867 15.8887
-4.1299 3.8329 5.0820
-2.3580 5.8495 7.3435
-9.2804 -0.3088 12.2089
-8.2796 4.9462 4.8581
-9.8853 -2.2658 16.7734
-1.8627 3.3441 9.0685
-6.0278 4.8852 6.7663
-5.7688 3.5425 1.6237
-12.3126 2.0888 11.6783
-4.2900 7.6987 3.9734
-1.4853 5.0760 3.5031
-10.3937 3.0017 9.6876
-0.5390 2.0785 1.6841
-2.5924 5.0033 -0.2619
-6.9096 4.9995 10.6377
-13.6363 3.3544 19.0627
-11.5829 0.4296 21.0087
-7.2657 0.4334 10.1091
-3.7816 2.4312 11.0592
-2.5690 1.3287 3.4244
-10.3052 3.2739 11.4032
-8.2888 0.2806 12.7539
-3.8701 2.1590 9.3436
-11.4045 2.7424 12.2610
-2.7707 2.6904 8.4858
-7.1746 0.7186 11.8359
-13.3988 3.7365 20.7234
-9.5151 1.3025 19.2687
2.0321 5.2227 3.6914
-4.6602 4.1304 1.4781
-12.1035 4.1059 18.7294
-11.6063 4.1042 17.3224
-5.8864 5.1522 7.9928
-10.0418 1.1960 20.6784
-8.4386 4.2168 10.8094
-5.2947 1.6258 11.2082
-16.2074 0.2102 17.0554
-5.7367 1.2161 9.9374
-0.7765 1.6964 0.0234
-8.8806 3.8070 9.5386
-2.0718 1.3270 2.0174
-7.0006 4.7143 8.9109
-4.1335 4.2369 0.0684
-9.4317 4.1313 14.8403
-12.8837 1.5572 14.9624
-4.7436 1.3016 5.9065
-1.2915 3.8757 5.7844
-6.1021 1.3632 12.2624
-4.9350 1.5231 8.8859
1.2997 5.0206 4.8162
-9.2402 3.9098 11.8609
-8.0732 4.0697 8.4844
-13.4408 -2.5007 17.8981
-0.7345 7.9335 2.8487
-15.4750 0.4123 15.9306
-2.2932 4.8749 2.9677
-10.8618 -0.4341 13.1328
-9.4451 1.0320 15.1119
-10.7615 -2.2793 16.3246
-12.8056 -0.6166 17.3206
-1.3697 6.0495 3.4262
-3.3135 5.8670 7.6140
-4.2314 4.1337 4.1410
-7.8754 1.5939 6.1117
-6.6156 0.5251 15.2183
-3.4138 7.7122 4.4222
-6.7989 2.8052 13.5744
-5.5587 1.3958 15.9870
-11.9831 -1.2389 13.9373
-4.3072 6.8957 3.4215
-2.1922 6.6718 6.8095
-6.2999 3.8389 14.6351
-9.9439 1.2991 16.6058
-11.8821 0.5579 17.7791
-9.8680 -1.4628 17.3253
-7.5597 4.9078 5.5285
-4.7302 4.4009 5.6349
-7.3764 2.6276 7.1724
-8.6166 4.0371 4.7598
```

Calculated formation energy in eV/atom: -1.079
Energy with MP2020 corrections in eV for the cell shown: -651.579
Raw total energy in eV per atom: -6.5450


Record 8
Here is a relaxed structure of La2MgTiZnO6 from Materials Project. Energies are from PBE.

```
La2MgTiZnO6
1.0
-5.2931 0.0464 3.8066
0.8949 1.0003 6.1627
-3.0812 4.9765 2.5651
Mg La O Zn Ti
1 2 6 1 1
Cartesian
-3.5642 3.1959 8.7930
-1.2601 1.3656 2.9323
-6.1692 4.9392 10.0324
-4.8619 1.7047 8.2367
-3.4136 0.4738 3.1710
-2.7718 4.6515 4.6313
-5.6904 1.9120 4.4563
-1.7916 4.1093 8.2961
-4.0591 5.2002 9.0215
-3.3842 2.6986 5.5850
-3.2234 4.9174 2.7658
```

Calculated formation energy in eV/atom: -3.050
Energy with MP2020 corrections in eV for the cell shown: -83.864
Raw total energy in eV per atom: -7.2493
Relative energy among the computed polymorphs in meV/atom: 0


Record 9
Here is a relaxed structure of VCrMo from Materials Project. Energies are from PBE.

```
VCrMo
1.0
-1.5090 -1.5399 1.5399
-1.5090 1.5399 -1.5399
1.5090 -4.4141 -4.4141
Cr V Mo
1 1 1
Cartesian
-1.5090 -4.3764 -4.3764
0.0000 -3.0070 -3.0070
-1.5090 -1.4448 -1.4448
```

Calculated formation energy in eV/atom: -0.006
Raw total energy in eV per atom: -9.8665


Record 10
Here is a relaxed structure of TbGaCo4 from Materials Project. Energies are from PBE.

```
TbGaCo4
1.0
4.3002 -7.4481 0.0000
4.3002 7.4481 0.0000
0.0000 0.0000 4.0215
Co Tb Ga
12 3 3
Cartesian
6.5315 -1.1944 2.0107
1.4030 -2.4300 0.0000
2.8972 5.0181 0.0000
2.8972 -5.0181 0.0000
4.3002 -5.0593 2.0107
4.3002 5.0593 2.0107
2.0688 1.1944 2.0107
6.5315 1.1944 2.0107
2.8060 0.0000 0.0000
2.0688 -1.1944 2.0107
5.7944 0.0000 0.0000
1.4030 2.4300 0.0000
4.3002 -2.4827 0.0000
0.0000 0.0000 0.0000
4.3002 2.4827 0.0000
2.1501 3.7241 2.0107
2.1501 -3.7241 2.0107
4.3002 0.0000 2.0107
```

Calculated formation energy in eV/atom: -0.260
Raw total energy in eV per atom: -6.2756


Record 11
Here is a relaxed structure of Li3Cu5O8 from Materials Project. Energies are from PBE.

```
Li3Cu5O8
1.0
5.0951 -2.9401 0.0000
5.0951 2.9401 0.0000
3.3986 0.0000 4.8014
O Cu Li
8 5 3
Cartesian
10.0988 0.0000 3.5682
3.4901 0.0000 1.2332
7.7040 -1.4353 3.6010
5.8849 -1.4353 1.2005
7.7040 1.4353 3.6010
5.8849 1.4353 1.2005
5.0567 0.0000 3.5444
8.5322 0.0000 1.2570
6.7945 0.0000 2.4007
5.0951 0.0000 0.0000
4.2469 -1.4700 2.4007
4.2469 1.4700 2.4007
0.0000 0.0000 0.0000
2.5476 -1.4700 0.0000
1.6993 0.0000 2.4007
2.5476 1.4700 0.0000
```

Calculated formation energy in eV/atom: -1.245
Energy with MP2020 corrections in eV for the cell shown: -85.725
Raw total energy in eV per atom: -5.0143


Record 12
Here is a relaxed structure of HoGa6 from Materials Project. Energies are from PBE.

```
HoGa6
1.0
-0.7164 4.2748 4.1844
0.2734 -4.1865 4.3238
7.5246 0.8865 0.3826
Ga Ho
12 2
Cartesian
2.2352 0.9212 6.5059
4.6250 0.0978 6.6389
2.1908 2.4638 3.8051
4.3960 2.7417 5.0160
2.6286 -1.7555 4.9707
4.7190 1.1435 2.3669
0.9956 0.1876 4.3160
4.9479 -1.5004 3.9898
2.5842 -0.2129 2.2698
6.3075 0.7431 0.3207
1.2171 0.1434 0.0619
6.0860 0.7873 4.5748
0.1367 -2.0932 2.1619
-0.3582 2.1374 2.0922
```

Calculated formation energy in eV/atom: -0.294
Raw total energy in eV per atom: -3.5437


Record 13
Here is a relaxed structure of Rb6Ge2O7 from Materials Project. Energies are from PBE.

```
Rb6Ge2O7
1.0
9.5656 0.0000 0.0000
0.0000 6.9371 0.0000
0.0000 6.6705 9.6727
Ge O Rb
4 14 12
Cartesian
3.4560 10.5248 8.4354
6.1096 3.0828 1.2373
1.3268 7.1895 3.5991
8.2388 6.4180 6.0736
6.8116 7.2844 5.4642
0.8018 6.5661 2.0256
6.3186 1.3164 1.2268
2.7540 6.3232 4.2085
3.2470 12.2911 8.4459
5.5846 3.7062 2.8108
0.0000 6.8038 4.8364
8.7638 7.0414 7.6471
3.9810 9.9014 6.8619
4.7828 3.4685 0.0000
7.5368 3.9492 0.6279
1.5358 8.9559 3.6095
8.0299 4.6517 6.0632
2.0288 9.6584 9.0448
0.2575 11.8724 9.2564
7.5224 6.0283 2.6948
1.4054 4.1479 5.6235
4.5253 8.5372 4.4201
6.1882 12.7949 8.8856
5.0403 5.0704 5.2526
2.7395 4.2440 2.1415
3.3774 0.8126 0.7871
9.3081 1.7352 0.4163
2.0433 7.5793 6.9779
6.8261 9.3636 7.5312
8.1602 9.4597 4.0492
```

Calculated formation energy in eV/atom: -1.985
Energy with MP2020 corrections in eV for the cell shown: -159.066
Raw total energy in eV per atom: -4.9816